8
Lattice="5.4877 0.0000 0.0000 -2.7438 4.7525 0.0000 0.0000 0.0000 4.3511" Properties=species:S:1:pos:R:3 comment="Tc3Os (meta-GGA r2SCAN, relaxed)" space_group="P6_3/mmc, No. 194" relative_energy_mev_per_atom=0 m_tot_mub_per_fu=0.000 pbc="T T T"
Tc 0.0000 1.5747 1.0878
Tc -1.3802 3.9652 1.0878
Tc 1.3637 0.7873 3.2634
Tc 1.3802 3.9652 1.0878
Tc 4.1240 0.7873 3.2634
Tc 2.7438 3.1778 3.2634
Os 0.0000 3.1683 3.2634
Os 2.7439 1.5842 1.0878